[1]
VASP calculation (PBE) on a relaxed Sb26O53 crystal.

a = 4.9828 Å, b = 5.5539 Å, c = 44.5788 Å
α = 102.05°, β = 113.71°, γ = 90.33°
Last column: nearest neighbours and their distance in Å.
Fractional positions:
Sb  0.2548  0.7080  0.8693  4 O 2.06-2.30
Sb  0.5928  0.4153  0.9385  5 O 1.92-1.99
Sb  0.2339  0.7381  0.7221  4 O 2.06-2.25
Sb  0.5297  0.4719  0.7957  6 O 2.01-2.04
Sb  0.8344  0.1952  0.8692  4 O 2.04-2.26
Sb  0.0722  0.9207  0.9467  3 O 2.02-2.16
Sb  0.2195  0.7500  0.5732  4 O 2.06-2.25
Sb  0.5123  0.4899  0.6466  6 O 2.01-2.03
Sb  0.8085  0.2317  0.7200  4 O 2.06-2.26
Sb  0.0296  0.9725  0.7952  6 O 2.00-2.04
Sb  0.2077  0.7541  0.4240  4 O 2.07-2.25
Sb  0.4996  0.4974  0.4973  6 O 2.01-2.03
Sb  0.7923  0.2411  0.5706  4 O 2.06-2.26
Sb  0.0127  0.9900  0.6465  6 O 2.01-2.05
Sb  0.1893  0.7517  0.2753  3 O 2.05-2.19
Sb  0.4869  0.4997  0.3482  6 O 2.01-2.03
Sb  0.7799  0.2450  0.4213  4 O 2.06-2.26
Sb  0.0000  0.9973  0.4973  6 O 2.01-2.05
Sb  0.4534  0.5133  0.1990  6 O 1.97-2.10
Sb  0.7575  0.2522  0.2720  4 O 2.06-2.30
Sb  0.9867  0.9997  0.3480  6 O 2.01-2.05
Sb  0.5992  0.6309  0.0849  3 O 1.99-2.08
Sb  0.7418  0.2493  0.1399  5 O 1.95-2.06
Sb  0.9840  0.9934  0.2005  6 O 1.96-2.17
Sb  0.8065  0.4585  0.0143  5 O 1.95-2.07
Sb  0.9511  0.0275  0.0603  3 O 2.04-2.05
O  0.0975  0.9350  0.8999  3 Sb 2.06-2.26
O  0.4160  0.3243  0.9674  2 Sb 1.96-2.19
O  0.2185  0.4309  0.8996  2 Sb 1.99-2.09
O  0.0222  0.9431  0.7485  3 Sb 2.04-2.26
O  0.2943  0.2897  0.8131  2 Sb 2.00-2.01
O  0.2058  0.4460  0.7490  3 Sb 2.03-2.24
O  0.7302  0.1079  0.9243  2 Sb 1.92-2.02
O  0.3904  0.7914  0.8130  2 Sb 2.02
O  0.9045  0.5939  0.9809  2 Sb 1.95-2.02
O  0.7446  0.6251  0.9173  2 Sb 1.96-2.10
O  0.0114  0.9578  0.6000  3 Sb 2.04-2.26
O  0.9687  0.1359  0.9987  1 O 1.46
O  0.2911  0.3008  0.6648  2 Sb 2.01
O  0.1863  0.4600  0.6001  3 Sb 2.03-2.24
O  0.6700  0.1552  0.7780  2 Sb 2.02
O  0.3648  0.8013  0.6647  2 Sb 2.02
O  0.8480  0.4995  0.8429  3 Sb 2.04-2.26
O  0.7632  0.6562  0.7782  2 Sb 2.01
O  0.9997  0.9630  0.4507  3 Sb 2.04-2.26
O  0.0462  0.0036  0.8424  3 Sb 2.04-2.25
O  0.2797  0.3073  0.5156  2 Sb 2.01
O  0.1738  0.4650  0.4508  3 Sb 2.02-2.24
O  0.6603  0.1781  0.6287  2 Sb 2.01-2.02
O  0.3510  0.8083  0.5155  2 Sb 2.01-2.02
O  0.8403  0.5193  0.6931  3 Sb 2.03-2.23
O  0.7349  0.6794  0.6286  2 Sb 2.01
O  0.9826  0.9633  0.3015  2 Sb 2.03-2.05
O  0.0145  0.0210  0.6932  3 Sb 2.05-2.25
O  0.2679  0.3088  0.3664  2 Sb 2.01
O  0.1593  0.4672  0.3017  3 Sb 2.03-2.19
O  0.6493  0.1865  0.4794  2 Sb 2.01-2.02
O  0.3371  0.8100  0.3663  2 Sb 2.01-2.02
O  0.8263  0.5296  0.5440  3 Sb 2.03-2.23
O  0.7211  0.6877  0.4793  2 Sb 2.01
O  0.9753  0.9730  0.1557  2 Sb 1.96-2.00
O  0.0011  0.0317  0.5441  3 Sb 2.05-2.25
O  0.2687  0.3071  0.2193  2 Sb 2.02-2.04
O  0.1105  0.4598  0.1545  2 Sb 1.96-1.99
O  0.6365  0.1895  0.3303  2 Sb 2.01-2.02
O  0.3356  0.8191  0.2204  2 Sb 1.98
O  0.8148  0.5333  0.3947  3 Sb 2.03-2.23
O  0.7058  0.6904  0.3299  2 Sb 2.01
O  0.1505  0.0501  0.0287  1 O 1.46
O  0.9881  0.0348  0.3948  3 Sb 2.05-2.25
O  0.1726  0.6146  0.0548  2 Sb 1.99-2.00
O  0.6288  0.2137  0.1784  3 Sb 2.06-2.17
O  0.7965  0.5286  0.2451  3 Sb 2.06-2.19
O  0.7082  0.6909  0.1847  2 Sb 1.97-1.98
O  0.9673  0.0434  0.2457  2 Sb 2.02-2.06
O  0.6740  0.2734  0.0393  2 Sb 1.95-2.04
O  0.4850  0.4747  0.1164  2 Sb 1.95-2.05
O  0.6311  0.7530  0.0278  2 Sb 1.96-2.04
O  0.5354  0.0004  0.0979  2 Sb 1.96-2.08

Computed properties:
The relative energy among the computed polymorphs comes out at 0.000 eV/atom. The formation energy comes out at -135.8 kJ per mole of atoms. The magnetic moment is 0.0 μB per formula unit. The volume comes out at 13.91 A^3/atom.

***

[2]
VASP calculation (PBE) on a relaxed Si2Sb15O28 crystal.

a = 7.0275 Å, b = 9.4033 Å, c = 14.2789 Å
α = 90.37°, β = 102.12°, γ = 97.00°
Last column: nearest neighbours and their distance in Å.
Fractional positions:
Si  0.1473  0.6164  0.9962  4 O 1.62-1.70
Si  0.7638  0.2961  0.9920  4 O 1.61-1.71
Sb  0.8968  0.3580  0.2500  4 O 1.95-2.12
Sb  0.6640  0.6514  0.8937  3 O 2.00-2.17
Sb  0.4084  0.6798  0.4336  3 O 1.97-2.06
Sb  0.9649  0.6770  0.5602  3 O 1.97-2.06
Sb  0.3774  0.4109  0.1902  3 O 1.96-1.99
Sb  0.3937  0.1064  0.5774  3 O 2.00-2.13
Sb  0.1406  0.3284  0.8730  3 O 2.00-2.04
Sb  0.0357  0.9381  0.9997  3 O 2.04-2.11
Sb  0.4528  0.0049  0.8686  2 O 1.92-1.99
Sb  0.8002  0.6530  0.1314  2 O 1.96-1.97
Sb  0.6422  0.3508  0.7585  5 O 1.93-2.08
Sb  0.5346  0.0727  0.1250  2 O 1.93-1.97
Sb  0.8376  0.1050  0.4194  3 O 2.01-2.06
Sb  0.9040  0.0322  0.6663  3 O 1.98-2.00
Sb  0.2673  0.0307  0.3304  3 O 1.96-2.00
O  0.6621  0.5632  0.7646  2 Sb 1.99-2.01
O  0.2231  0.7357  0.5153  2 Sb 2.03-2.06
O  0.9075  0.5999  0.0031  1 Si 1.70
O  0.2268  0.7882  0.0037  1 Si 1.64
O  0.9589  0.3041  0.3875  2 Sb 2.00-2.06
O  0.1452  0.3086  0.2263  2 Sb 1.95-1.96
O  0.0377  0.9882  0.3878  2 Sb 1.96-2.01
O  0.9793  0.1394  0.5564  2 Sb 2.00-2.01
O  0.6353  0.1295  0.9936  1 Si 1.71
O  0.2150  0.0581  0.8964  1 Sb 1.92
O  0.1460  0.5446  0.8916  1 Si 1.63
O  0.9110  0.3229  0.7623  2 Sb 1.93-2.00
O  0.4222  0.1505  0.4438  2 Sb 2.00
O  0.8345  0.8364  0.8880  2 Sb 2.00-2.04
O  0.6381  0.3826  0.9022  1 Si 1.67
O  0.9717  0.2674  0.9656  1 Si 1.64
O  0.3835  0.2368  0.1114  2 Sb 1.97-1.99
O  0.9289  0.8457  0.1162  2 Sb 1.96-2.11
O  0.6238  0.9957  0.6022  2 Sb 1.98-2.00
O  0.0075  0.8501  0.6439  2 Sb 1.97-1.99
O  0.7669  0.1464  0.2191  2 Sb 1.93-2.09
O  0.2655  0.5251  0.0800  1 Si 1.62
O  0.3902  0.8516  0.3556  2 Sb 1.97-1.99
O  0.7068  0.7275  0.4808  2 Sb 2.04-2.06
O  0.7730  0.3750  0.0936  1 Si 1.61
O  0.5114  0.1549  0.7777  2 Sb 1.99-2.00
O  0.9914  0.5781  0.2345  2 Sb 1.97-2.12
O  0.5265  0.3180  0.6242  2 Sb 1.93-2.13

Computed properties:
The formation energy comes out at -173.1 kJ per mole of atoms. The magnetic moment is 1.1 μB per formula unit. The volume comes out at 20.34 A^3/atom.

***

[3]
VASP calculation (PBE) on a relaxed Si4SbO10 crystal.

a = 7.4167 Å, b = 7.4167 Å, c = 16.2735 Å
α = 90.00°, β = 90.00°, γ = 90.00°
Last column: nearest neighbours and their distance in Å.
Fractional positions:
Si  0.1738  0.2562  0.6538  4 O 1.62-1.63
Si  0.8262  0.7438  0.6538  4 O 1.62-1.63
Si  0.2562  0.1738  0.8462  4 O 1.62-1.63
Si  0.7562  0.3262  0.6538  4 O 1.62-1.63
Si  0.2438  0.6738  0.6538  4 O 1.62-1.63
Si  0.3262  0.7562  0.8462  4 O 1.62-1.63
Si  0.6738  0.2438  0.8462  4 O 1.62-1.63
Si  0.7438  0.8262  0.8462  4 O 1.62-1.63
Si  0.3262  0.2438  0.3462  4 O 1.62-1.63
Si  0.6738  0.7562  0.3462  4 O 1.62-1.63
Si  0.2438  0.3262  0.1538  4 O 1.62-1.63
Si  0.7438  0.1738  0.3462  4 O 1.62-1.63
Si  0.2562  0.8262  0.3462  4 O 1.62-1.63
Si  0.1738  0.7438  0.1538  4 O 1.62-1.63
Si  0.8262  0.2562  0.1538  4 O 1.62-1.63
Si  0.7562  0.6738  0.1538  4 O 1.62-1.63
Sb  0.5000  0.0000  0.5602  4 O 1.99
Sb  0.0000  0.5000  0.9398  4 O 1.99
Sb  0.0000  0.5000  0.4398  4 O 1.99
Sb  0.5000  0.0000  0.0602  4 O 1.99
O  0.2635  0.0997  0.5968  1 Si 1.63
O  0.7365  0.9003  0.5968  1 Si 1.63
O  0.0997  0.2635  0.9032  1 Si 1.63
O  0.5997  0.2365  0.5968  1 Si 1.63
O  0.4003  0.7635  0.5968  1 Si 1.63
O  0.2365  0.5997  0.9032  1 Si 1.63
O  0.7635  0.4003  0.9032  1 Si 1.63
O  0.9003  0.7365  0.9032  1 Si 1.63
O  0.2365  0.4003  0.4032  1 Si 1.63
O  0.7635  0.5997  0.4032  1 Si 1.63
O  0.4003  0.2365  0.0968  1 Si 1.63
O  0.9003  0.2635  0.4032  1 Si 1.63
O  0.0997  0.7365  0.4032  1 Si 1.63
O  0.2635  0.9003  0.0968  1 Si 1.63
O  0.7365  0.0997  0.0968  1 Si 1.63
O  0.2520  0.0417  0.3665  2 Si 1.63
O  0.5997  0.7635  0.0968  1 Si 1.63
O  0.7520  0.5417  0.6335  2 Si 1.63
O  0.4583  0.2480  0.8665  2 Si 1.63
O  0.9583  0.2520  0.6335  2 Si 1.63
O  0.0417  0.7480  0.6335  2 Si 1.63
O  0.2520  0.9583  0.8665  2 Si 1.63
O  0.7480  0.0417  0.8665  2 Si 1.63
O  0.5417  0.7520  0.8665  2 Si 1.63
O  0.7103  0.7103  0.2500  2 Si 1.62
O  0.7897  0.2103  0.2500  2 Si 1.62
O  0.2103  0.7897  0.2500  2 Si 1.62
O  0.2897  0.2897  0.2500  2 Si 1.62
O  0.7897  0.7897  0.7500  2 Si 1.62
O  0.7103  0.2897  0.7500  2 Si 1.62
O  0.2897  0.7103  0.7500  2 Si 1.62
O  0.2103  0.2103  0.7500  2 Si 1.62
O  0.9583  0.7480  0.1335  2 Si 1.63
O  0.7520  0.4583  0.1335  2 Si 1.63
O  0.2480  0.5417  0.1335  2 Si 1.63
O  0.4583  0.7520  0.3665  2 Si 1.63
O  0.5417  0.2480  0.3665  2 Si 1.63
O  0.0417  0.2520  0.1335  2 Si 1.63
O  0.7480  0.9583  0.3665  2 Si 1.63
O  0.2480  0.4583  0.6335  2 Si 1.63

Computed properties:
The formation energy comes out at -271.1 kJ per mole of atoms. The magnetic moment is 1.0 μB per formula unit. The volume comes out at 14.92 A^3/atom.